Record 1
Computed, not measured: a geometry-optimized Co3OF5 structure at the GGA+U level of DFT.

Unit cell a=5.673 b=5.709 c=7.521 alpha=71.89 beta=71.56 gamma=70.38
Element x y z (fractional)
Co (0.000, 0.000, 0.000)
Co (0.000, 0.000, 0.500)
Co (0.330, 0.323, 0.173)
Co (0.367, 0.303, 0.667)
Co (0.633, 0.697, 0.333)
Co (0.670, 0.677, 0.827)
O (0.346, 0.968, 0.342)
O (0.654, 0.032, 0.658)
F (0.055, 0.621, 0.665)
F (0.110, 0.106, 0.704)
F (0.236, 0.234, 0.963)
F (0.306, 0.692, 0.002)
F (0.431, 0.435, 0.369)
F (0.569, 0.565, 0.631)
F (0.694, 0.308, 0.998)
F (0.764, 0.766, 0.037)
F (0.890, 0.894, 0.296)
F (0.945, 0.379, 0.335)

Values from the calculation:
**Energy with MP2020 corrections**: -109.238 eV for the cell shown
**SG**: No. 2
**Energy relative to the lowest polymorph listed for this composition**: 0 meV per atom

=====

Record 2
Computed, not measured: a geometry-optimized Co2O3F structure at the GGA+U level of DFT.

Unit cell a=5.389 b=5.389 c=5.984 alpha=123.68 beta=123.68 gamma=68.74
Element x y z (fractional)
Co (0.000, 0.000, 0.000)
Co (0.000, 0.000, 0.500)
Co (0.465, 0.465, 0.717)
Co (0.535, 0.535, 0.283)
O (0.177, 0.177, 0.429)
O (0.299, 0.701, 0.500)
O (0.304, 0.696, 0.000)
O (0.696, 0.304, 0.000)
O (0.701, 0.299, 0.500)
O (0.823, 0.823, 0.571)
F (0.216, 0.216, 0.962)
F (0.784, 0.784, 0.038)

Values from the calculation:
**Energy with MP2020 corrections**: -77.491 eV for the cell shown
**SG**: No. 12
**Energy relative to the lowest polymorph listed for this composition**: 20 meV per atom

=====

Record 3
Computed, not measured: a geometry-optimized Co6O5F7 structure at the GGA+U level of DFT.

Unit cell a=4.640 b=9.175 c=4.660 alpha=90.00 beta=93.87 gamma=90.00
Element x y z (fractional)
Co (0.000, 0.000, 0.000)
Co (0.422, 0.160, 0.492)
Co (0.422, 0.840, 0.492)
Co (0.466, 0.500, 0.517)
Co (0.961, 0.342, 0.019)
Co (0.961, 0.658, 0.019)
O (0.149, 0.500, 0.207)
O (0.150, 0.178, 0.197)
O (0.150, 0.822, 0.197)
O (0.265, 0.000, 0.690)
O (0.772, 0.500, 0.834)
F (0.261, 0.331, 0.708)
F (0.261, 0.669, 0.708)
F (0.652, 0.329, 0.318)
F (0.652, 0.671, 0.318)
F (0.656, 0.000, 0.301)
F (0.755, 0.177, 0.800)
F (0.755, 0.823, 0.800)

Values from the calculation:
**Energy with MP2020 corrections**: -111.538 eV for the cell shown
**SG**: No. 6
**Energy relative to the lowest polymorph listed for this composition**: 9 meV per atom

=====

Record 4
Computed, not measured: a geometry-optimized Co6O7F5 structure at the GGA+U level of DFT.

Unit cell a=4.560 b=5.459 c=7.562 alpha=86.65 beta=87.14 gamma=86.31
Element x y z (fractional)
Co (0.000, 0.000, 0.000)
Co (0.007, 0.659, 0.345)
Co (0.498, 0.502, 0.012)
Co (0.540, 0.843, 0.689)
Co (0.551, 0.184, 0.339)
Co (0.967, 0.337, 0.673)
O (0.314, 0.461, 0.241)
O (0.314, 0.800, 0.908)
O (0.695, 0.536, 0.785)
O (0.704, 0.207, 0.102)
O (0.709, 0.868, 0.449)
O (0.812, 0.037, 0.778)
O (0.821, 0.376, 0.443)
F (0.196, 0.958, 0.240)
F (0.203, 0.302, 0.896)
F (0.211, 0.633, 0.585)
F (0.309, 0.133, 0.574)
F (0.810, 0.702, 0.110)

Values from the calculation:
**Energy with MP2020 corrections**: -113.533 eV for the cell shown
**SG**: No. 1
**Energy relative to the lowest polymorph listed for this composition**: 22 meV per atom

=====

Record 5
Computed, not measured: a geometry-optimized CoOF structure at the GGA+U level of DFT.

Unit cell a=4.539 b=4.491 c=9.985 alpha=90.00 beta=115.58 gamma=90.00
Element x y z (fractional)
Co (0.000, 0.213, 0.000)
Co (0.000, 0.787, 0.500)
Co (0.328, 0.235, 0.331)
Co (0.328, 0.765, 0.831)
Co (0.603, 0.269, 0.666)
Co (0.603, 0.731, 0.166)
O (0.282, 0.078, 0.501)
O (0.282, 0.922, 0.001)
O (0.323, 0.429, 0.165)
O (0.323, 0.571, 0.665)
O (0.601, 0.066, 0.828)
O (0.601, 0.934, 0.328)
F (0.672, 0.473, 0.509)
F (0.672, 0.527, 0.009)
F (0.916, 0.023, 0.163)
F (0.916, 0.977, 0.663)
F (0.990, 0.463, 0.829)
F (0.990, 0.537, 0.329)

Values from the calculation:
**Energy with MP2020 corrections**: -111.834 eV for the cell shown
**SG**: No. 7
**Energy relative to the lowest polymorph listed for this composition**: 56 meV per atom

=====

Record 6
Computed, not measured: a geometry-optimized Co6O5F7 structure at the GGA+U level of DFT.

Unit cell a=4.622 b=5.629 c=7.673 alpha=87.07 beta=88.11 gamma=89.73
Element x y z (fractional)
Co (0.000, 0.000, 0.000)
Co (0.010, 0.366, 0.700)
Co (0.045, 0.679, 0.331)
Co (0.524, 0.193, 0.350)
Co (0.547, 0.539, 0.020)
Co (0.590, 0.853, 0.662)
O (0.345, 0.504, 0.240)
O (0.739, 0.561, 0.794)
O (0.740, 0.878, 0.446)
O (0.830, 0.727, 0.112)
O (0.847, 0.061, 0.782)
F (0.225, 0.993, 0.237)
F (0.238, 0.647, 0.581)
F (0.250, 0.330, 0.921)
F (0.333, 0.158, 0.593)
F (0.339, 0.835, 0.905)
F (0.750, 0.230, 0.116)
F (0.849, 0.383, 0.454)

Values from the calculation:
**Energy with MP2020 corrections**: -111.436 eV for the cell shown
**SG**: No. 1
**Energy relative to the lowest polymorph listed for this composition**: 15 meV per atom

=====

Record 7
Computed, not measured: a geometry-optimized Co3OF5 structure at the GGA+U level of DFT.

Unit cell a=9.526 b=4.714 c=4.718 alpha=90.00 beta=90.00 gamma=90.00
Element x y z (fractional)
Co (0.000, 0.217, 0.000)
Co (0.161, 0.753, 0.460)
Co (0.339, 0.247, 0.960)
Co (0.500, 0.783, 0.500)
Co (0.661, 0.247, 0.960)
Co (0.839, 0.753, 0.460)
O (0.000, 0.948, 0.267)
O (0.500, 0.052, 0.767)
F (0.000, 0.533, 0.682)
F (0.165, 0.053, 0.774)
F (0.167, 0.441, 0.161)
F (0.333, 0.559, 0.661)
F (0.335, 0.947, 0.274)
F (0.500, 0.467, 0.182)
F (0.665, 0.947, 0.274)
F (0.667, 0.559, 0.661)
F (0.833, 0.441, 0.161)
F (0.835, 0.053, 0.774)

Values from the calculation:
**Energy with MP2020 corrections**: -109.174 eV for the cell shown
**SG**: No. 31
**Energy relative to the lowest polymorph listed for this composition**: 4 meV per atom

=====

Record 8
Computed, not measured: a geometry-optimized Co2O3F structure at the GGA+U level of DFT.

Unit cell a=6.755 b=6.755 c=6.551 alpha=90.00 beta=90.00 gamma=126.53
Element x y z (fractional)
Co (0.125, 0.375, 0.750)
Co (0.125, 0.875, 0.785)
Co (0.375, 0.125, 0.250)
Co (0.375, 0.625, 0.285)
Co (0.625, 0.375, 0.715)
Co (0.625, 0.875, 0.750)
Co (0.875, 0.125, 0.215)
Co (0.875, 0.625, 0.250)
O (0.021, 0.479, 0.250)
O (0.124, 0.876, 0.069)
O (0.228, 0.272, 0.250)
O (0.272, 0.228, 0.750)
O (0.376, 0.624, 0.569)
O (0.479, 0.021, 0.750)
O (0.521, 0.979, 0.250)
O (0.624, 0.376, 0.431)
O (0.728, 0.772, 0.250)
O (0.772, 0.728, 0.750)
O (0.876, 0.124, 0.931)
O (0.979, 0.521, 0.750)
F (0.126, 0.874, 0.468)
F (0.374, 0.626, 0.968)
F (0.626, 0.374, 0.032)
F (0.874, 0.126, 0.532)

Values from the calculation:
**Energy with MP2020 corrections**: -155.452 eV for the cell shown
**SG**: No. 64
**Energy relative to the lowest polymorph listed for this composition**: 0 meV per atom

=====

- Among the records above, which one has the lowest energy with MP2020 corrections?
  number 8